Entry 1:
Computed, not measured: an optimized crystal structure of Li9Mn2Co5O16 at the PBE with a Hubbard U level of DFT.

The structure in POSCAR format:
```
Li9Mn2Co5O16
1.0
5.8441 0.0000 0.0000
2.8918 7.1493 0.0000
2.9210 2.0822 6.8576
O Li Co Mn
16 9 5 2
Direct
0.5949 0.6434 0.1284 O
0.1038 0.1504 0.6081 O
0.7729 0.5063 0.4964 O
0.2271 0.4937 0.5036 O
0.9946 0.7419 0.7440 O
0.1346 0.6097 0.1512 O
0.2532 0.0052 0.0048 O
0.6542 0.1189 0.6295 O
0.4707 0.2439 0.2580 O
0.8654 0.3903 0.8488 O
0.4051 0.3566 0.8716 O
0.3458 0.8811 0.3705 O
0.5293 0.7561 0.7420 O
0.8962 0.8496 0.3919 O
0.7468 0.9948 0.9952 O
0.0054 0.2581 0.2560 O
0.6237 0.3796 0.3656 Li
0.7458 0.7525 0.2485 Li
0.3763 0.6204 0.6344 Li
0.1284 0.8699 0.8818 Li
0.2542 0.2475 0.7515 Li
0.5000 0.0000 0.5000 Li
0.5000 0.5000 0.0000 Li
0.8716 0.1301 0.1182 Li
0.0000 0.5000 0.0000 Li
0.0000 0.0000 0.5000 Co
0.7497 0.2521 0.7500 Co
0.3758 0.1321 0.1139 Co
0.2503 0.7479 0.2500 Co
0.6242 0.8679 0.8861 Co
0.1259 0.3790 0.3704 Mn
0.8741 0.6210 0.6296 Mn
```

Calculated values
Energy relative to the lowest polymorph listed for this composition in meV per atom: 29
E_form in eV/f.u.: -58.721
VASP energy in Ha/atom: -0.214
M_tot in μB per formula unit: 10.0



Entry 2:
Computed, not measured: an optimized crystal structure of Li2MnP2O7 at the PBE with a Hubbard U level of DFT.

The structure in POSCAR format:
```
Li2MnP2O7
1.0
-0.1124 3.8802 -3.3259
-8.4316 1.1336 1.6074
-3.0902 9.0195 10.6272
O P Li Mn
28 8 8 4
Direct
0.3928 0.8253 0.8542 O
0.6380 0.2863 0.4356 O
0.0710 0.2938 0.1388 O
0.4290 0.2938 0.6388 O
0.1805 0.5032 0.4330 O
0.1221 0.9659 0.1132 O
0.2284 0.6656 0.2445 O
0.0605 0.1682 0.3976 O
0.6221 0.0341 0.3868 O
0.6072 0.1747 0.1458 O
0.2716 0.6656 0.7445 O
0.9395 0.8318 0.6024 O
0.9290 0.7062 0.8612 O
0.8779 0.0341 0.8868 O
0.4395 0.1682 0.8976 O
0.1380 0.7137 0.0644 O
0.6805 0.4968 0.0670 O
0.3195 0.5032 0.9330 O
0.8195 0.4968 0.5670 O
0.8620 0.2863 0.9356 O
0.3620 0.7137 0.5644 O
0.5605 0.8318 0.1024 O
0.3779 0.9659 0.6132 O
0.7284 0.3344 0.2555 O
0.7716 0.3344 0.7555 O
0.8928 0.1747 0.6458 O
0.5710 0.7062 0.3612 O
0.1072 0.8253 0.3542 O
0.7758 0.3201 0.1472 P
0.7659 0.1965 0.3757 P
0.2341 0.8035 0.6243 P
0.2242 0.6799 0.8528 P
0.2659 0.8035 0.1243 P
0.2758 0.6799 0.3528 P
0.7242 0.3201 0.6472 P
0.7341 0.1965 0.8757 P
0.2881 0.5013 0.0769 Li
0.2662 0.0514 0.3261 Li
0.2119 0.5013 0.5769 Li
0.7338 0.9486 0.6739 Li
0.2338 0.0514 0.8261 Li
0.7881 0.4987 0.4231 Li
0.7119 0.4987 0.9231 Li
0.7662 0.9486 0.1739 Li
0.7392 0.7777 0.4833 Mn
0.7608 0.7777 0.9833 Mn
0.2392 0.2223 0.0167 Mn
0.2608 0.2223 0.5167 Mn
```

Calculated values
Energy relative to the lowest polymorph listed for this composition in meV per atom: 22
E_form in eV/f.u.: -31.800
VASP energy in Ha/atom: -0.257
M_tot in μB per formula unit: 5.0



Entry 3:
Computed, not measured: an optimized crystal structure of Mg6CoBO8 at the PBE with a Hubbard U level of DFT.

The structure in POSCAR format:
```
Mg6CoBO8
1.0
8.4982 0.0000 0.0000
0.0000 4.2824 0.0000
0.0000 0.0000 4.2824
O Mg Co B
8 6 1 1
Direct
0.1723 0.5000 0.5000 O
0.7388 0.0000 0.0000 O
0.2612 0.0000 0.0000 O
0.5000 0.5000 0.0000 O
0.5000 0.0000 0.5000 O
0.0000 0.0000 0.5000 O
0.0000 0.5000 0.0000 O
0.8277 0.5000 0.5000 O
0.5000 0.0000 0.0000 Mg
0.2295 0.5000 0.0000 Mg
0.7705 0.5000 0.0000 Mg
0.2295 0.0000 0.5000 Mg
0.5000 0.5000 0.5000 Mg
0.7705 0.0000 0.5000 Mg
0.0000 0.0000 0.0000 Co
0.0000 0.5000 0.5000 B
```

Calculated values
Energy relative to the lowest polymorph listed for this composition in meV per atom: 97
E_form in eV/f.u.: -38.123
VASP energy in Ha/atom: -0.216
M_tot in μB per formula unit: 2.4



Entry 4:
Computed, not measured: an optimized crystal structure of Li5Mn2Co5O12 at the PBE with a Hubbard U level of DFT.

The structure in POSCAR format:
```
Li5Mn2Co5O12
1.0
4.4915 2.5258 0.0000
-4.4915 2.5258 0.0000
0.0000 1.9936 9.6704
O Li Mn Co
12 5 2 5
Direct
0.0410 0.2296 0.6137 O
0.5116 0.7160 0.1177 O
0.3961 0.8697 0.6151 O
0.6104 0.1193 0.8812 O
0.4906 0.2955 0.3850 O
0.1303 0.6039 0.3849 O
0.2840 0.4884 0.8823 O
0.7704 0.9590 0.3863 O
0.2050 0.0223 0.1182 O
0.9777 0.7950 0.8818 O
0.7045 0.5094 0.6150 O
0.8807 0.3896 0.1188 O
0.0860 0.9140 0.5000 Li
0.6660 0.8374 0.7480 Li
0.3290 0.1619 0.7465 Li
0.1626 0.3340 0.2520 Li
0.8381 0.6710 0.2535 Li
0.2457 0.7543 0.0000 Mn
0.7521 0.2479 0.5000 Mn
0.4177 0.5823 0.5000 Co
0.4941 0.0030 0.2540 Co
0.9970 0.5059 0.7460 Co
0.5773 0.4227 0.0000 Co
0.9136 0.0864 0.0000 Co
```

Calculated values
E_form in eV/f.u.: -27.781
VASP energy in Ha/atom: -0.200
M_tot in μB per formula unit: 0.0



Entry 5:
Computed, not measured: an optimized crystal structure of FeSO4 at the PBE with a Hubbard U level of DFT.

The structure in POSCAR format:
```
FeSO4
1.0
-2.9903 -2.5482 3.5593
3.1614 -7.0998 -2.4268
4.9068 0.6233 4.5686
O Fe S
16 4 4
Direct
0.0000 0.7530 0.9325 O
0.7317 0.0458 0.7500 O
0.7683 0.4542 0.2500 O
0.5000 0.7470 0.4325 O
0.2683 0.9542 0.2500 O
0.2317 0.4542 0.2500 O
0.0000 0.2470 0.0675 O
0.2683 0.0458 0.7500 O
0.5000 0.2530 0.9325 O
0.5000 0.7470 0.0675 O
0.7317 0.9542 0.2500 O
0.0000 0.2470 0.4325 O
0.0000 0.7530 0.5675 O
0.7683 0.5458 0.7500 O
0.2317 0.5458 0.7500 O
0.5000 0.2530 0.5675 O
0.0000 0.0000 0.0000 Fe
0.0000 0.0000 0.5000 Fe
0.5000 0.5000 0.0000 Fe
0.5000 0.5000 0.5000 Fe
0.5000 0.1534 0.7500 S
0.0000 0.3466 0.2500 S
0.0000 0.6534 0.7500 S
0.5000 0.8466 0.2500 S
```

Calculated values
E_form in eV/f.u.: -11.146
VASP energy in Ha/atom: -0.236



Entry 6:
Computed, not measured: an optimized crystal structure of MnOF at the PBE with a Hubbard U level of DFT.

The structure in POSCAR format:
```
MnOF
1.0
-0.1612 -2.5708 2.7824
4.3245 -0.4219 -0.2348
-1.4012 4.9602 2.0029
Mn F O
2 2 2
Direct
0.1368 0.3829 0.7686 Mn
0.8632 0.6171 0.2314 Mn
0.0559 0.8133 0.6417 F
0.9441 0.1867 0.3583 F
0.3318 0.6303 0.1641 O
0.6682 0.3697 0.8359 O
```

Calculated values
E_form in eV/f.u.: -7.014
VASP energy in Ha/atom: -0.248
M_tot in μB per formula unit: 4.0



> Which value of E_form does entry 4 give?

-27.781 eV/f.u.